# 1
{
  "formula": "BaCO3",
  "functional": "PBE-GGA",
  "state": "relaxed",
  "lattice_angstrom": [[4.486, 0.000, 0.000], [0.000, 7.061, 0.000], [0.000, 0.000, 5.467]],
  "species": ["Ba", "Ba", "C", "C", "O", "O", "O", "O", "O", "O"],
  "fractional_positions": [[0.000, 0.000, 0.000], [0.500, 0.500, 0.500], [0.000, 0.500, 0.011], [0.500, 0.000, 0.511], [0.000, 0.500, 0.773], [0.135, 0.366, 0.140], [0.365, 0.866, 0.640], [0.500, 0.000, 0.273], [0.635, 0.134, 0.640], [0.865, 0.634, 0.140]],
  "e_ij_max_c_m2": 1.7,
  "ef_mev_per_atom": -2607.4,
  "volume_a3_per_fu": 86.6,
  "energy_corrected_mp2020_ev_per_atom": -7.806
}

# 2
{
  "formula": "Rb2MnP2",
  "functional": "PBE-GGA",
  "state": "relaxed",
  "lattice_angstrom": [[3.708, 0.000, 0.000], [0.000, 3.708, 0.000], [0.000, 0.000, 15.069]],
  "species": ["Rb", "Rb", "Mn", "P", "P"],
  "fractional_positions": [[0.000, 0.000, 0.145], [0.000, 0.000, 0.855], [0.000, 0.000, 0.500], [0.000, 0.000, 0.354], [0.000, 0.000, 0.646]],
  "ef_mev_per_atom": 855.2,
  "volume_a3_per_fu": 207.2
}

# 3
{
  "formula": "MgAg14Pb6O18",
  "functional": "PBE-GGA",
  "state": "relaxed",
  "lattice_angstrom": [[8.767, 0.000, 0.000], [2.540, 8.549, 0.000], [2.422, 2.007, 8.397]],
  "species": ["Mg", "Ag", "Ag", "Ag", "Ag", "Ag", "Ag", "Ag", "Ag", "Ag", "Ag", "Ag", "Ag", "Ag", "Ag", "Pb", "Pb", "Pb", "Pb", "Pb", "Pb", "O", "O", "O", "O", "O", "O", "O", "O", "O", "O", "O", "O", "O", "O", "O", "O", "O", "O"],
  "fractional_positions": [[0.000, 0.000, 0.000], [0.051, 0.528, 0.473], [0.150, 0.119, 0.554], [0.222, 0.683, 0.141], [0.305, 0.275, 0.728], [0.373, 0.357, 0.318], [0.400, 0.854, 0.800], [0.477, 0.434, 0.900], [0.560, 0.023, 0.470], [0.627, 0.629, 0.041], [0.695, 0.226, 0.133], [0.725, 0.695, 0.639], [0.781, 0.781, 0.243], [0.887, 0.368, 0.801], [0.976, 0.944, 0.375], [0.043, 0.367, 0.134], [0.063, 0.698, 0.801], [0.371, 0.029, 0.134], [0.386, 0.691, 0.474], [0.721, 0.359, 0.471], [0.732, 0.028, 0.799], [0.020, 0.966, 0.785], [0.029, 0.646, 0.069], [0.075, 0.428, 0.863], [0.090, 0.089, 0.127], [0.111, 0.716, 0.535], [0.310, 0.313, 0.124], [0.335, 0.665, 0.744], [0.369, 0.956, 0.420], [0.403, 0.740, 0.211], [0.445, 0.421, 0.497], [0.463, 0.043, 0.852], [0.661, 0.628, 0.459], [0.703, 0.299, 0.742], [0.749, 0.087, 0.530], [0.761, 0.006, 0.051], [0.769, 0.403, 0.200], [0.791, 0.759, 0.821], [0.994, 0.341, 0.406]],
  "ef_mev_per_atom": -876.8,
  "volume_a3_per_fu": 629.3,
  "energy_corrected_mp2020_ev_per_atom": -4.789
}

# 4
{
  "formula": "HfScOs2",
  "functional": "PBE-GGA",
  "state": "relaxed",
  "lattice_angstrom": [[0.000, 3.236, 3.236], [3.236, 0.000, 3.236], [3.236, 3.236, 0.000]],
  "species": ["Hf", "Sc", "Os", "Os"],
  "fractional_positions": [[0.000, 0.000, 0.000], [0.500, 0.500, 0.500], [0.250, 0.250, 0.250], [0.750, 0.750, 0.750]],
  "ef_mev_per_atom": -564.8,
  "volume_a3_per_fu": 67.8
}

# 5
{
  "formula": "In2Bi3Se7I",
  "functional": "PBE-GGA",
  "state": "relaxed",
  "lattice_angstrom": [[27.327, 0.000, 0.000], [0.000, 4.205, 0.000], [0.000, 0.000, 13.712]],
  "species": ["In", "In", "In", "In", "In", "In", "In", "In", "Bi", "Bi", "Bi", "Bi", "Bi", "Bi", "Bi", "Bi", "Bi", "Bi", "Bi", "Bi", "Se", "Se", "Se", "Se", "Se", "Se", "Se", "Se", "Se", "Se", "Se", "Se", "Se", "Se", "Se", "Se", "Se", "Se", "Se", "Se", "Se", "Se", "Se", "Se", "Se", "Se", "Se", "Se", "I", "I", "I", "I"],
  "fractional_positions": [[0.034, 0.250, 0.084], [0.053, 0.750, 0.541], [0.447, 0.250, 0.041], [0.466, 0.750, 0.584], [0.534, 0.250, 0.416], [0.553, 0.750, 0.959], [0.947, 0.250, 0.459], [0.966, 0.750, 0.916], [0.156, 0.750, 0.203], [0.186, 0.250, 0.926], [0.192, 0.250, 0.551], [0.308, 0.750, 0.051], [0.314, 0.750, 0.426], [0.344, 0.250, 0.703], [0.656, 0.750, 0.297], [0.686, 0.250, 0.574], [0.692, 0.250, 0.949], [0.808, 0.750, 0.449], [0.814, 0.750, 0.074], [0.844, 0.250, 0.797], [0.010, 0.250, 0.621], [0.027, 0.250, 0.890], [0.088, 0.250, 0.246], [0.121, 0.750, 0.016], [0.137, 0.750, 0.450], [0.231, 0.250, 0.108], [0.242, 0.250, 0.374], [0.258, 0.750, 0.874], [0.269, 0.750, 0.608], [0.363, 0.250, 0.950], [0.379, 0.250, 0.516], [0.412, 0.750, 0.746], [0.473, 0.750, 0.390], [0.490, 0.750, 0.121], [0.510, 0.250, 0.879], [0.527, 0.250, 0.610], [0.588, 0.250, 0.254], [0.621, 0.750, 0.484], [0.637, 0.750, 0.050], [0.731, 0.250, 0.392], [0.742, 0.250, 0.126], [0.758, 0.750, 0.626], [0.769, 0.750, 0.892], [0.863, 0.250, 0.550], [0.879, 0.250, 0.984], [0.912, 0.750, 0.754], [0.973, 0.750, 0.110], [0.990, 0.750, 0.379], [0.134, 0.750, 0.734], [0.366, 0.250, 0.234], [0.634, 0.750, 0.766], [0.866, 0.250, 0.266]],
  "ef_mev_per_atom": -463.9,
  "volume_a3_per_fu": 393.9,
  "energy_corrected_mp2020_ev_per_atom": -3.785
}

# 6
{
  "formula": "Sr24Ta8O43",
  "functional": "PBE-GGA",
  "state": "relaxed",
  "lattice_angstrom": [[6.038, 0.000, 0.000], [2.971, 5.278, 0.000], [1.925, 2.220, 38.940]],
  "species": ["Sr", "Sr", "Sr", "Sr", "Sr", "Sr", "Sr", "Sr", "Sr", "Sr", "Sr", "Sr", "Sr", "Sr", "Sr", "Sr", "Sr", "Sr", "Sr", "Sr", "Sr", "Sr", "Sr", "Sr", "Ta", "Ta", "Ta", "Ta", "Ta", "Ta", "Ta", "Ta", "O", "O", "O", "O", "O", "O", "O", "O", "O", "O", "O", "O", "O", "O", "O", "O", "O", "O", "O", "O", "O", "O", "O", "O", "O", "O", "O", "O", "O", "O", "O", "O", "O", "O", "O", "O", "O", "O", "O", "O", "O", "O", "O"],
  "fractional_positions": [[0.000, 0.000, 0.000], [0.005, 0.084, 0.911], [0.081, 0.116, 0.822], [0.102, 0.164, 0.626], [0.133, 0.208, 0.538], [0.190, 0.213, 0.448], [0.253, 0.346, 0.155], [0.321, 0.241, 0.247], [0.330, 0.423, 0.889], [0.380, 0.305, 0.062], [0.409, 0.514, 0.787], [0.476, 0.531, 0.501], [0.497, 0.444, 0.691], [0.527, 0.627, 0.403], [0.572, 0.676, 0.140], [0.624, 0.572, 0.309], [0.695, 0.677, 0.047], [0.716, 0.663, 0.956], [0.754, 0.820, 0.757], [0.811, 0.820, 0.664], [0.828, 0.809, 0.574], [0.877, 0.957, 0.386], [0.945, 0.939, 0.295], [0.985, 0.920, 0.205], [0.103, 0.198, 0.727], [0.221, 0.346, 0.348], [0.347, 0.366, 0.978], [0.463, 0.504, 0.600], [0.603, 0.622, 0.225], [0.725, 0.825, 0.853], [0.846, 0.913, 0.472], [0.972, 0.082, 0.102], [0.011, 0.633, 0.505], [0.067, 0.859, 0.142], [0.073, 0.503, 0.014], [0.084, 0.691, 0.834], [0.128, 0.258, 0.308], [0.142, 0.712, 0.951], [0.149, 0.243, 0.954], [0.151, 0.493, 0.733], [0.161, 0.952, 0.763], [0.189, 0.785, 0.447], [0.230, 0.597, 0.642], [0.233, 0.857, 0.579], [0.239, 0.390, 0.580], [0.245, 0.664, 0.350], [0.264, 0.121, 0.387], [0.300, 0.758, 0.259], [0.339, 0.934, 0.088], [0.362, 0.019, 0.870], [0.404, 0.965, 0.197], [0.417, 0.499, 0.198], [0.459, 0.036, 0.707], [0.525, 0.094, 0.498], [0.533, 0.496, 0.007], [0.543, 0.027, 0.003], [0.593, 0.193, 0.337], [0.605, 0.292, 0.116], [0.612, 0.290, 0.942], [0.644, 0.684, 0.815], [0.684, 0.606, 0.626], [0.688, 0.144, 0.619], [0.689, 0.446, 0.558], [0.716, 0.801, 0.437], [0.739, 0.137, 0.860], [0.745, 0.430, 0.742], [0.745, 0.783, 0.255], [0.749, 0.294, 0.253], [0.754, 0.250, 0.443], [0.841, 0.596, 0.892], [0.856, 0.584, 0.360], [0.873, 0.990, 0.063], [0.883, 0.523, 0.192], [0.968, 0.131, 0.688], [0.976, 0.406, 0.102]],
  "ef_mev_per_atom": -3274.3,
  "volume_a3_per_fu": 1241.1,
  "energy_corrected_mp2020_ev_per_atom": -7.917
}